# 1
Here is a relaxed structure of CsCoO2 from Materials Project. Energies are from PBE+U.

The structure in CIF format:
```
data_CsCoO2
_chemical_formula_sum 'Cs8 Co8 O16'
_cell_length_a 6.240
_cell_length_b 12.593
_cell_length_c 8.330
_cell_angle_alpha 90.00
_cell_angle_beta 90.00
_cell_angle_gamma 90.00
_space_group_name_H-M_alt 'C m c e'
_space_group_IT_number 64
_space_group_name_Hall '-C 2ac 2'
loop_
_atom_site_label
_atom_site_type_symbol
_atom_site_fract_x
_atom_site_fract_y
_atom_site_fract_z
Cs1 Cs 0.000 0.161 0.069
Co1 Co 0.000 0.047 0.647
O1 O 0.000 0.097 0.427
O2 O 0.250 0.085 0.750
```

Summary:
- E_form (eV per atom) = -1.44


# 2
Here is a relaxed structure of Cs2CoO3 from Materials Project. Energies are from PBE+U.

The structure in CIF format:
```
data_Cs2CoO3
_chemical_formula_sum 'Cs16 Co8 O24'
_cell_length_a 6.107
_cell_length_b 12.793
_cell_length_c 13.997
_cell_angle_alpha 90.00
_cell_angle_beta 90.00
_cell_angle_gamma 90.00
_space_group_name_H-M_alt 'C m c e'
_space_group_IT_number 64
_space_group_name_Hall '-C 2ac 2'
loop_
_atom_site_label
_atom_site_type_symbol
_atom_site_fract_x
_atom_site_fract_y
_atom_site_fract_z
Cs1 Cs 0.000 0.057 0.140
Cs2 Cs 0.000 0.140 0.577
Co1 Co 0.000 0.238 0.324
O1 O 0.000 0.105 0.358
O2 O 0.000 0.178 0.925
O3 O 0.250 0.233 0.750
```

Summary:
- size of the total moment (μB/atom) = 0.17
- E_form (eV per atom) = -1.38


# 3
Here is a relaxed structure of CsCoPO4 from Materials Project. Energies are from PBE+U.

The structure in CIF format:
```
data_CsCoPO4
_chemical_formula_sum 'Cs8 Co8 P8 O32'
_cell_length_a 9.516
_cell_length_b 5.564
_cell_length_c 18.727
_cell_angle_alpha 90.00
_cell_angle_beta 90.37
_cell_angle_gamma 90.00
_space_group_name_H-M_alt 'P 1 21/c 1'
_space_group_IT_number 14
loop_
_space_group_symop_operation_xyz
'x,y,z'
'-x,-y,-z'
'-x,y+1/2,-z+1/2'
'x,-y+1/2,z+1/2'
loop_
_atom_site_label
_atom_site_type_symbol
_atom_site_fract_x
_atom_site_fract_y
_atom_site_fract_z
Cs1 Cs 0.190 0.233 0.250
Cs2 Cs 0.293 0.243 0.496
Co1 Co 0.084 0.743 0.588
Co2 Co 0.411 0.725 0.333
P1 P 0.083 0.745 0.903
P2 P 0.406 0.727 0.154
O1 O 0.005 0.037 0.631
O2 O 0.030 0.515 0.369
O3 O 0.061 0.750 0.484
O4 O 0.241 0.707 0.888
O5 O 0.286 0.696 0.603
O6 O 0.353 0.748 0.232
O7 O 0.448 0.037 0.637
O8 O 0.464 0.106 0.859
```

Summary:
- size of the total moment (μB/atom) = 0.43
- E_form (eV per atom) = -2.37


# 4
Here is a relaxed structure of CsCoPO4 from Materials Project. Energies are from PBE+U.

The structure in CIF format:
```
data_CsCoPO4
_chemical_formula_sum 'Cs4 Co4 P4 O16'
_cell_length_a 9.347
_cell_length_b 9.638
_cell_length_c 5.519
_cell_angle_alpha 90.00
_cell_angle_beta 90.00
_cell_angle_gamma 90.00
_space_group_name_H-M_alt 'P n a 21'
_space_group_IT_number 33
loop_
_space_group_symop_operation_xyz
'x,y,z'
'-x,-y,z+1/2'
'-x+1/2,y+1/2,z+1/2'
'x+1/2,-y+1/2,z'
loop_
_atom_site_label
_atom_site_type_symbol
_atom_site_fract_x
_atom_site_fract_y
_atom_site_fract_z
Cs1 Cs 0.003 0.200 0.000
Co1 Co 0.174 0.582 0.994
P1 P 0.198 0.411 0.495
O1 O 0.034 0.397 0.496
O2 O 0.233 0.773 0.915
O3 O 0.247 0.526 0.313
O4 O 0.247 0.951 0.252
```

Summary:
- size of the total moment (μB/atom) = 0.43
- E_form (eV per atom) = -2.37


# 5
Here is a relaxed structure of CsCoPO4 from Materials Project. Energies are from PBE+U.

The structure in CIF format:
```
data_CsCoPO4
_chemical_formula_sum 'Cs4 Co4 P4 O16'
_cell_length_a 9.437
_cell_length_b 5.546
_cell_length_c 9.486
_cell_angle_alpha 90.00
_cell_angle_beta 90.18
_cell_angle_gamma 90.00
_space_group_name_H-M_alt 'P 1 21 1'
_space_group_IT_number 4
loop_
_space_group_symop_operation_xyz
'x,y,z'
'-x,y+1/2,-z'
loop_
_atom_site_label
_atom_site_type_symbol
_atom_site_fract_x
_atom_site_fract_y
_atom_site_fract_z
Cs1 Cs 0.001 0.000 0.311
Cs2 Cs 0.493 0.530 0.794
Co1 Co 0.165 0.000 0.911
Co2 Co 0.325 0.529 0.419
P1 P 0.189 0.500 0.096
P2 P 0.308 0.026 0.585
O1 O 0.034 0.521 0.149
O2 O 0.217 0.668 0.967
O3 O 0.225 0.235 0.055
O4 O 0.240 0.227 0.491
O5 O 0.240 0.780 0.540
O6 O 0.276 0.079 0.742
O7 O 0.290 0.577 0.217
O8 O 0.469 0.018 0.562
```

Summary:
- E_form (eV per atom) = -2.37


# 6
Here is a relaxed structure of Li4Fe3Co2Cu3O16 from Materials Project. Energies are from PBE+U.

The structure in CIF format:
```
data_Li4Fe3Co2Cu3O16
_chemical_formula_sum 'Li4 Fe3 Co2 Cu3 O16'
_cell_length_a 5.827
_cell_length_b 5.829
_cell_length_c 9.280
_cell_angle_alpha 89.59
_cell_angle_beta 89.59
_cell_angle_gamma 60.13
_space_group_name_H-M_alt 'P 1'
_space_group_IT_number 1
loop_
_space_group_symop_operation_xyz
'x,y,z'
loop_
_atom_site_label
_atom_site_type_symbol
_atom_site_fract_x
_atom_site_fract_y
_atom_site_fract_z
Li1 Li 0.000 0.000 0.000
Li2 Li 0.004 0.003 0.495
Li3 Li 0.346 0.344 0.592
Li4 Li 0.675 0.674 0.094
Fe1 Fe 0.177 0.176 0.277
Fe2 Fe 0.348 0.837 0.776
Fe3 Fe 0.838 0.347 0.776
Co1 Co 0.339 0.339 0.005
Co2 Co 0.677 0.676 0.503
Cu1 Cu 0.182 0.661 0.279
Cu2 Cu 0.662 0.181 0.279
Cu3 Cu 0.835 0.834 0.779
O1 O 0.051 0.481 0.138
O2 O 0.176 0.176 0.891
O3 O 0.183 0.662 0.897
O4 O 0.344 0.342 0.382
O5 O 0.351 0.840 0.395
O6 O 0.482 0.050 0.137
O7 O 0.484 0.484 0.136
O8 O 0.528 0.964 0.637
O9 O 0.531 0.530 0.641
O10 O 0.662 0.184 0.897
O11 O 0.678 0.677 0.886
O12 O 0.834 0.833 0.397
O13 O 0.840 0.351 0.395
O14 O 0.966 0.526 0.637
O15 O 0.999 0.999 0.193
O16 O 0.999 0.999 0.687
```

Summary:
- size of the total moment (μB/atom) = 0.63
- E_form (eV per atom) = -1.37


# 7
Here is a relaxed structure of Li4Fe3Co3Cu2O16 from Materials Project. Energies are from PBE+U.

The structure in CIF format:
```
data_Li4Fe3Co3Cu2O16
_chemical_formula_sum 'Li8 Fe6 Co6 Cu4 O32'
_cell_length_a 10.062
_cell_length_b 5.780
_cell_length_c 9.550
_cell_angle_alpha 90.00
_cell_angle_beta 90.50
_cell_angle_gamma 90.00
_space_group_name_H-M_alt 'C 1 m 1'
_space_group_IT_number 8
loop_
_space_group_symop_operation_xyz
'x,y,z'
'x,-y,z'
'x+1/2,y+1/2,z'
'x+1/2,-y+1/2,z'
loop_
_atom_site_label
_atom_site_type_symbol
_atom_site_fract_x
_atom_site_fract_y
_atom_site_fract_z
Li1 Li 0.000 0.000 0.000
Li2 Li 0.002 0.000 0.498
Li3 Li 0.183 0.500 0.099
Li4 Li 0.348 0.000 0.596
Fe1 Fe 0.097 0.255 0.782
Fe2 Fe 0.180 0.000 0.281
Co1 Co 0.341 0.500 0.783
Co2 Co 0.427 0.242 0.283
Cu1 Cu 0.173 0.500 0.506
Cu2 Cu 0.341 0.000 0.008
O1 O 0.004 0.000 0.685
O2 O 0.006 0.000 0.186
O3 O 0.032 0.500 0.655
O4 O 0.085 0.251 0.392
O5 O 0.172 0.000 0.897
O6 O 0.182 0.500 0.893
O7 O 0.258 0.287 0.657
O8 O 0.279 0.225 0.160
O9 O 0.349 0.000 0.388
O10 O 0.349 0.500 0.382
O11 O 0.424 0.256 0.889
O12 O 0.493 0.000 0.170
```

Summary:
- size of the total moment (μB/atom) = 0.61
- E_form (eV per atom) = -1.44


# 8
Here is a relaxed structure of Li4Fe2Co3Cu3O16 from Materials Project. Energies are from PBE+U.

The structure in CIF format:
```
data_Li4Fe2Co3Cu3O16
_chemical_formula_sum 'Li8 Fe4 Co6 Cu6 O32'
_cell_length_a 10.093
_cell_length_b 5.755
_cell_length_c 9.404
_cell_angle_alpha 90.00
_cell_angle_beta 91.83
_cell_angle_gamma 90.00
_space_group_name_H-M_alt 'C 1 m 1'
_space_group_IT_number 8
loop_
_space_group_symop_operation_xyz
'x,y,z'
'x,-y,z'
'x+1/2,y+1/2,z'
'x+1/2,-y+1/2,z'
loop_
_atom_site_label
_atom_site_type_symbol
_atom_site_fract_x
_atom_site_fract_y
_atom_site_fract_z
Li1 Li 0.000 0.000 0.000
Li2 Li 0.002 0.000 0.503
Li3 Li 0.164 0.500 0.899
Li4 Li 0.334 0.000 0.398
Fe1 Fe 0.171 0.500 0.498
Fe2 Fe 0.335 0.000 0.997
Co1 Co 0.085 0.253 0.218
Co2 Co 0.170 0.000 0.718
Cu1 Cu 0.332 0.500 0.220
Cu2 Cu 0.416 0.246 0.719
O1 O 0.007 0.000 0.314
O2 O 0.008 0.000 0.811
O3 O 0.019 0.500 0.331
O4 O 0.090 0.241 0.606
O5 O 0.160 0.000 0.115
O6 O 0.162 0.500 0.114
O7 O 0.234 0.272 0.341
O8 O 0.252 0.218 0.844
O9 O 0.328 0.000 0.615
O10 O 0.341 0.500 0.601
O11 O 0.426 0.253 0.107
O12 O 0.480 0.000 0.847
```

Summary:
- size of the total moment (μB/atom) = 0.36
- E_form (eV per atom) = -1.37


# 9
Here is a relaxed structure of Fe3Co2CuP6O24 from Materials Project. Energies are from PBE+U.

The structure in CIF format:
```
data_Fe3Co2CuP6O24
_chemical_formula_sum 'Fe9 Co6 Cu3 P18 O72'
_cell_length_a 8.6373
_cell_length_b 8.6373
_cell_length_c 20.2376
_cell_angle_alpha 90.00
_cell_angle_beta 90.00
_cell_angle_gamma 120.00
_space_group_name_H-M_alt 'R 3'
_space_group_IT_number 146
_space_group_name_Hall 'R 3'
loop_
_atom_site_label
_atom_site_type_symbol
_atom_site_fract_x
_atom_site_fract_y
_atom_site_fract_z
Fe1 Fe 0.0000 0.0000 0.0000
Fe2 Fe 0.0000 0.0000 0.2108
Fe3 Fe 0.0000 0.0000 0.5005
Co1 Co 0.0000 0.0000 0.3554
Co2 Co 0.0000 0.0000 0.8549
Cu1 Cu 0.0000 0.0000 0.7109
P1 P 0.9995 0.2957 0.6066
P2 P 0.0359 0.6673 0.7720
O1 O 0.0031 0.2048 0.6708
O2 O 0.0086 0.1766 0.2831
O3 O 0.0093 0.8053 0.1676
O4 O 0.0134 0.8352 0.7841
O5 O 0.1399 0.6774 0.7102
O6 O 0.1425 0.4649 0.2117
O7 O 0.1648 0.6756 0.0947
O8 O 0.1663 0.4868 0.5950
```

Summary:
- size of the total moment (μB/atom) = 0.58
- E_form (eV per atom) = -2.11


# 10
Here is a relaxed structure of Fe3CoCu2P6O24 from Materials Project. Energies are from PBE+U.

The structure in CIF format:
```
data_Fe3CoCu2P6O24
_chemical_formula_sum 'Fe9 Co3 Cu6 P18 O72'
_cell_length_a 8.5224
_cell_length_b 8.5224
_cell_length_c 20.7137
_cell_angle_alpha 90.00
_cell_angle_beta 90.00
_cell_angle_gamma 120.00
_space_group_name_H-M_alt 'R 3'
_space_group_IT_number 146
_space_group_name_Hall 'R 3'
loop_
_atom_site_label
_atom_site_type_symbol
_atom_site_fract_x
_atom_site_fract_y
_atom_site_fract_z
Fe1 Fe 0.0000 0.0000 0.0000
Fe2 Fe 0.0000 0.0000 0.2119
Fe3 Fe 0.0000 0.0000 0.5003
Co1 Co 0.0000 0.0000 0.7157
Cu1 Cu 0.0000 0.0000 0.3563
Cu2 Cu 0.0000 0.0000 0.8560
P1 P 0.0392 0.3700 0.7717
P2 P 0.0450 0.6673 0.2746
O1 O 0.0209 0.1775 0.7776
O2 O 0.0219 0.8374 0.2809
O3 O 0.1362 0.4646 0.8336
O4 O 0.1363 0.4691 0.7110
O5 O 0.1387 0.6677 0.2124
O6 O 0.1450 0.6717 0.3363
O7 O 0.1674 0.4863 0.0992
O8 O 0.1705 0.6900 0.6009
```

Summary:
- size of the total moment (μB/atom) = 0.49
- E_form (eV per atom) = -2.07


# 11
Here is a relaxed structure of La5Sm3Co7CuO24 from Materials Project. Energies are from PBE+U.

The structure in CIF format:
```
data_La5Sm3Co7CuO24
_chemical_formula_sum 'La10 Sm6 Co14 Cu2 O48'
_cell_length_a 10.846
_cell_length_b 10.817
_cell_length_c 7.632
_cell_angle_alpha 90.00
_cell_angle_beta 90.06
_cell_angle_gamma 90.00
_space_group_name_H-M_alt 'C 1 m 1'
_space_group_IT_number 8
loop_
_space_group_symop_operation_xyz
'x,y,z'
'x,-y,z'
'x+1/2,y+1/2,z'
'x+1/2,-y+1/2,z'
loop_
_atom_site_label
_atom_site_type_symbol
_atom_site_fract_x
_atom_site_fract_y
_atom_site_fract_z
La1 La 0.000 0.000 0.000
La2 La 0.000 0.000 0.497
La3 La 0.249 0.249 0.497
La4 La 0.498 0.000 0.497
Sm1 Sm 0.249 0.248 0.001
Sm2 Sm 0.498 0.000 0.001
Co1 Co 0.249 0.500 0.247
Co2 Co 0.250 0.000 0.248
Co3 Co 0.250 0.000 0.751
Co4 Co 0.499 0.250 0.247
Co5 Co 0.499 0.250 0.749
Cu1 Cu 0.249 0.500 0.749
O1 O 0.122 0.373 0.244
O2 O 0.123 0.127 0.752
O3 O 0.123 0.374 0.756
O4 O 0.126 0.126 0.246
O5 O 0.248 0.500 0.003
O6 O 0.248 0.500 0.493
O7 O 0.249 0.000 0.494
O8 O 0.252 0.000 0.004
O9 O 0.374 0.125 0.243
O10 O 0.374 0.372 0.753
O11 O 0.375 0.371 0.246
O12 O 0.377 0.126 0.752
O13 O 0.499 0.247 0.999
O14 O 0.499 0.250 0.498
```

Summary:
- size of the total moment (μB/atom) = 0.18
- E_form (eV per atom) = -2.47